Computed, not measured: a relaxed structure of K11In6Bi9 at the meta-GGA r2SCAN level of DFT.

a = 12.200 Å, b = 13.393 Å, c = 13.800 Å
α = 76.49°, β = 63.56°, γ = 76.11°
Fractional coordinates of all 52 atoms:
1 Bi 0.929 0.775 0.576
2 Bi 0.718 0.070 0.768
3 Bi 0.302 0.597 0.348
4 Bi 0.755 0.923 0.273
5 Bi 0.357 0.772 0.581
6 Bi 0.269 0.288 0.993
7 Bi 0.282 0.930 0.232
8 Bi 0.071 0.225 0.424
9 Bi 0.643 0.228 0.419
10 Bi 0.149 0.454 0.721
11 Bi 0.698 0.403 0.652
12 Bi 0.851 0.283 0.995
13 Bi 0.731 0.712 0.007
14 Bi 0.545 0.743 0.784
15 Bi 0.851 0.546 0.279
16 Bi 0.149 0.717 0.005
17 Bi 0.455 0.257 0.216
18 Bi 0.245 0.077 0.727
19 K 0.051 0.720 0.785
20 K 0.624 0.455 0.193
21 K 0.050 0.988 0.630
22 K 0.617 0.985 0.069
23 K 0.548 0.741 0.296
24 K 0.376 0.545 0.807
25 K 0.596 0.979 0.594
26 K 0.383 0.015 0.931
27 K 0.950 0.012 0.370
28 K 0.301 0.311 0.489
29 K 0.000 0.000 0.000
30 K 0.592 0.278 0.931
31 K 0.949 0.280 0.215
32 K 0.000 0.500 0.000
33 K 0.699 0.689 0.511
34 K 0.408 0.722 0.069
35 K 0.960 0.251 0.715
36 K 0.452 0.259 0.704
37 K 0.205 0.456 0.195
38 K 0.040 0.749 0.285
39 K 0.404 0.021 0.406
40 K 0.795 0.544 0.805
41 In 0.128 0.243 0.884
42 In 0.629 0.448 0.460
43 In 0.872 0.757 0.116
44 In 0.294 0.849 0.800
45 In 0.729 0.844 0.799
46 In 0.061 0.555 0.536
47 In 0.204 0.794 0.452
48 In 0.939 0.445 0.464
49 In 0.271 0.156 0.201
50 In 0.371 0.552 0.540
51 In 0.796 0.206 0.548
52 In 0.706 0.151 0.200

Output
- formation enthalpy at 0 K (eV per atom) = -0.47
- volume (Å³ per atom) = 37.29


Computed, not measured: a relaxed structure of CsAs2Se3 at the meta-GGA r2SCAN level of DFT.

a = 7.554 Å, b = 13.610 Å, c = 15.048 Å
α = 90.00°, β = 90.00°, γ = 90.00°
Fractional coordinates of all 48 atoms:
1 As 0.418 0.270 0.243
2 As 0.918 0.770 0.257
3 As 0.582 0.770 0.257
4 As 0.250 0.565 0.213
5 As 0.082 0.270 0.243
6 As 0.250 0.275 0.516
7 As 0.750 0.775 0.984
8 As 0.418 0.230 0.743
9 As 0.918 0.730 0.757
10 As 0.750 0.435 0.787
11 As 0.750 0.065 0.287
12 As 0.250 0.935 0.713
13 As 0.750 0.725 0.484
14 As 0.082 0.230 0.743
15 As 0.250 0.225 0.016
16 As 0.582 0.730 0.757
17 Se 0.250 0.433 0.112
18 Se 0.007 0.356 0.855
19 Se 0.986 0.667 0.386
20 Se 0.250 0.399 0.408
21 Se 0.750 0.933 0.388
22 Se 0.750 0.899 0.092
23 Se 0.507 0.644 0.145
24 Se 0.493 0.356 0.855
25 Se 0.993 0.856 0.645
26 Se 0.493 0.144 0.355
27 Se 0.014 0.333 0.614
28 Se 0.514 0.833 0.886
29 Se 0.993 0.644 0.145
30 Se 0.486 0.167 0.114
31 Se 0.007 0.144 0.355
32 Se 0.514 0.667 0.386
33 Se 0.986 0.833 0.886
34 Se 0.250 0.101 0.908
35 Se 0.486 0.333 0.614
36 Se 0.750 0.567 0.888
37 Se 0.750 0.601 0.592
38 Se 0.250 0.067 0.612
39 Se 0.014 0.167 0.114
40 Se 0.507 0.856 0.645
41 Cs 0.750 0.415 0.408
42 Cs 0.750 0.094 0.578
43 Cs 0.250 0.594 0.922
44 Cs 0.750 0.406 0.078
45 Cs 0.750 0.085 0.908
46 Cs 0.250 0.906 0.422
47 Cs 0.250 0.585 0.592
48 Cs 0.250 0.915 0.092

Output
- formation enthalpy at 0 K (eV per atom) = -0.56
- volume (Å³ per atom) = 32.23


Computed, not measured: a relaxed structure of Tm6InCo2 at the meta-GGA r2SCAN level of DFT.

a = 8.222 Å, b = 8.222 Å, c = 8.222 Å
α = 111.21°, β = 110.13°, γ = 107.10°
Fractional coordinates of all 18 atoms:
1 Co 0.619 0.000 0.619
2 Co 0.889 0.389 0.500
3 Co 0.381 0.000 0.381
4 Co 0.111 0.611 0.500
5 Tm 0.017 0.231 0.787
6 Tm 0.556 0.769 0.787
7 Tm 0.983 0.769 0.213
8 Tm 0.188 0.711 0.899
9 Tm 0.314 0.011 0.697
10 Tm 0.812 0.711 0.524
11 Tm 0.812 0.289 0.101
12 Tm 0.686 0.989 0.303
13 Tm 0.188 0.289 0.476
14 Tm 0.444 0.231 0.213
15 Tm 0.686 0.383 0.697
16 Tm 0.314 0.617 0.303
17 In 0.500 0.500 0.000
18 In 0.000 0.000 0.000

Output
- formation enthalpy at 0 K (eV per atom) = -0.28
- volume (Å³ per atom) = 23.73


Computed, not measured: a relaxed structure of Tm5Ga3 at the meta-GGA r2SCAN level of DFT.

a = 8.406 Å, b = 8.406 Å, c = 6.383 Å
α = 89.10°, β = 89.10°, γ = 119.79°
Fractional coordinates of all 16 atoms:
1 Tm 0.746 0.505 0.265
2 Tm 0.495 0.254 0.735
3 Tm 0.815 0.185 0.000
4 Tm 0.505 0.746 0.265
5 Tm 0.269 0.269 0.225
6 Tm 0.853 0.147 0.500
7 Tm 0.731 0.731 0.775
8 Tm 0.185 0.815 0.000
9 Tm 0.254 0.495 0.735
10 Tm 0.147 0.853 0.500
11 Ga 0.498 0.903 0.711
12 Ga 0.502 0.097 0.289
13 Ga 0.097 0.502 0.289
14 Ga 0.090 0.090 0.813
15 Ga 0.903 0.498 0.711
16 Ga 0.910 0.910 0.187

Output
- formation enthalpy at 0 K (eV per atom) = -0.59
- ΔE to the lowest computed polymorph (meV per atom) = 0.0
- volume (Å³ per atom) = 24.46


Computed, not measured: a relaxed structure of ThAlCo at the meta-GGA r2SCAN level of DFT.

a = 6.956 Å, b = 6.956 Å, c = 4.033 Å
α = 90.00°, β = 90.00°, γ = 120.00°
Fractional coordinates of all 9 atoms:
1 Al 0.225 0.000 0.500
2 Al 0.775 0.775 0.500
3 Al 0.000 0.225 0.500
4 Co 0.333 0.667 0.500
5 Co 0.000 0.000 0.000
6 Co 0.667 0.333 0.500
7 Th 0.578 0.000 0.000
8 Th 0.422 0.422 0.000
9 Th 0.000 0.578 0.000

Output
- formation enthalpy at 0 K (eV per atom) = -0.43
- volume (Å³ per atom) = 18.78


Computed, not measured: a relaxed structure of DyErAg2 at the meta-GGA r2SCAN level of DFT.

a = 5.076 Å, b = 5.076 Å, c = 5.076 Å
α = 60.00°, β = 60.00°, γ = 60.00°
Fractional coordinates of all 4 atoms:
1 Dy 0.500 0.500 0.500
2 Ag 0.250 0.250 0.250
3 Ag 0.750 0.750 0.750
4 Er 0.000 0.000 0.000

Output
- formation enthalpy at 0 K (eV per atom) = -0.34
- volume (Å³ per atom) = 23.12


Computed, not measured: a relaxed structure of Ca3Mn3N5 at the meta-GGA r2SCAN level of DFT.

a = 5.691 Å, b = 6.783 Å, c = 8.353 Å
α = 107.39°, β = 106.14°, γ = 93.84°
Fractional coordinates of all 22 atoms:
1 N 0.610 0.056 0.375
2 N 0.232 0.466 0.103
3 N 0.768 0.534 0.897
4 N 0.940 0.117 0.784
5 N 0.270 0.770 0.916
6 N 0.730 0.230 0.084
7 N 0.060 0.883 0.216
8 N 0.390 0.944 0.625
9 N 0.184 0.298 0.494
10 N 0.816 0.702 0.506
11 Ca 0.660 0.871 0.877
12 Ca 0.354 0.328 0.802
13 Ca 0.808 0.409 0.601
14 Ca 0.340 0.129 0.123
15 Ca 0.192 0.591 0.399
16 Ca 0.646 0.672 0.198
17 Mn 0.904 0.322 0.967
18 Mn 0.309 0.046 0.434
19 Mn 0.892 0.131 0.285
20 Mn 0.108 0.869 0.715
21 Mn 0.691 0.954 0.566
22 Mn 0.096 0.678 0.033

Output
- formation enthalpy at 0 K (eV per atom) = -0.89
- volume (Å³ per atom) = 13.25


Computed, not measured: a relaxed structure of Ba7Al4Sb9 at the meta-GGA r2SCAN level of DFT.

a = 7.270 Å, b = 10.895 Å, c = 18.382 Å
α = 90.00°, β = 90.00°, γ = 90.00°
Fractional coordinates of all 40 atoms:
1 Sb 0.977 0.500 0.260
2 Sb 0.549 0.709 0.370
3 Sb 0.050 0.000 0.000
4 Sb 0.169 0.500 0.000
5 Sb 0.831 0.000 0.500
6 Sb 0.549 0.291 0.370
7 Sb 0.451 0.791 0.870
8 Sb 0.977 0.500 0.740
9 Sb 0.451 0.209 0.870
10 Sb 0.023 0.000 0.760
11 Sb 0.451 0.209 0.130
12 Sb 0.707 0.500 0.000
13 Sb 0.293 0.000 0.500
14 Sb 0.023 0.000 0.240
15 Sb 0.549 0.291 0.630
16 Sb 0.549 0.709 0.630
17 Sb 0.950 0.500 0.500
18 Sb 0.451 0.791 0.130
19 Ba 0.546 0.000 0.284
20 Ba 0.546 0.000 0.716
21 Ba 0.952 0.725 0.124
22 Ba 0.952 0.725 0.876
23 Ba 0.048 0.775 0.376
24 Ba 0.048 0.775 0.624
25 Ba 0.952 0.275 0.124
26 Ba 0.048 0.225 0.624
27 Ba 0.048 0.225 0.376
28 Ba 0.410 0.500 0.500
29 Ba 0.454 0.500 0.784
30 Ba 0.454 0.500 0.216
31 Ba 0.590 0.000 0.000
32 Ba 0.952 0.275 0.876
33 Al 0.561 0.176 0.500
34 Al 0.241 0.000 0.126
35 Al 0.241 0.000 0.874
36 Al 0.439 0.676 0.000
37 Al 0.439 0.324 0.000
38 Al 0.759 0.500 0.374
39 Al 0.561 0.824 0.500
40 Al 0.759 0.500 0.626

Output
- formation enthalpy at 0 K (eV per atom) = -0.93
- volume (Å³ per atom) = 36.40


Computed, not measured: a relaxed structure of Hf6Zn6N at the meta-GGA r2SCAN level of DFT.

a = 8.408 Å, b = 8.408 Å, c = 8.408 Å
α = 60.00°, β = 60.00°, γ = 60.00°
Fractional coordinates of all 26 atoms:
1 Zn 0.625 0.125 0.625
2 Zn 0.625 0.625 0.125
3 Zn 0.832 0.505 0.832
4 Zn 0.418 0.418 0.418
5 Zn 0.125 0.625 0.625
6 Zn 0.832 0.832 0.505
7 Zn 0.418 0.418 0.745
8 Zn 0.625 0.625 0.625
9 Zn 0.418 0.745 0.418
10 Zn 0.745 0.418 0.418
11 Zn 0.505 0.832 0.832
12 Zn 0.832 0.832 0.832
13 Hf 0.190 0.810 0.190
14 Hf 0.190 0.190 0.810
15 Hf 0.060 0.440 0.060
16 Hf 0.060 0.060 0.440
17 Hf 0.190 0.810 0.810
18 Hf 0.440 0.440 0.060
19 Hf 0.060 0.440 0.440
20 Hf 0.440 0.060 0.060
21 Hf 0.810 0.810 0.190
22 Hf 0.810 0.190 0.810
23 Hf 0.440 0.060 0.440
24 Hf 0.810 0.190 0.190
25 N 0.250 0.250 0.250
26 N 0.000 0.000 0.000

Output
- formation enthalpy at 0 K (eV per atom) = -0.56
- volume (Å³ per atom) = 16.17


Computed, not measured: a relaxed structure of Sr3Ca at the meta-GGA r2SCAN level of DFT.

a = 6.690 Å, b = 6.690 Å, c = 6.690 Å
α = 60.00°, β = 60.00°, γ = 60.00°
Fractional coordinates of all 4 atoms:
1 Sr 0.750 0.750 0.750
2 Sr 0.250 0.250 0.250
3 Sr 0.500 0.500 0.500
4 Ca 0.000 0.000 0.000

Output
- formation enthalpy at 0 K (eV per atom) = 0.06
- volume (Å³ per atom) = 52.93


Computed, not measured: a relaxed structure of SmYSe2 at the meta-GGA r2SCAN level of DFT.

a = 7.208 Å, b = 7.208 Å, c = 7.208 Å
α = 32.99°, β = 32.99°, γ = 32.99°
Fractional coordinates of all 4 atoms:
1 Sm 0.000 0.000 0.000
2 Y 0.500 0.500 0.500
3 Se 0.753 0.753 0.753
4 Se 0.247 0.247 0.247

Output
- formation enthalpy at 0 K (eV per atom) = -2.05
- volume (Å³ per atom) = 24.69


Computed, not measured: a relaxed structure of SbPbClO2 at the meta-GGA r2SCAN level of DFT.

a = 6.780 Å, b = 6.780 Å, c = 5.451 Å
α = 90.00°, β = 90.00°, γ = 130.95°
Fractional coordinates of all 10 atoms:
1 Sb 0.921 0.079 0.750
2 Sb 0.079 0.921 0.250
3 Pb 0.382 0.618 0.250
4 Pb 0.618 0.382 0.750
5 Cl 0.256 0.744 0.750
6 Cl 0.744 0.256 0.250
7 O 0.226 0.226 0.000
8 O 0.226 0.226 0.500
9 O 0.774 0.774 0.000
10 O 0.774 0.774 0.500

Output
- formation enthalpy at 0 K (eV per atom) = -1.45
- volume (Å³ per atom) = 18.93


Computed, not measured: a relaxed structure of Sm3Ir at the meta-GGA r2SCAN level of DFT.

a = 6.487 Å, b = 7.283 Å, c = 9.695 Å
α = 90.00°, β = 90.00°, γ = 90.00°
Fractional coordinates of all 16 atoms:
1 Sm 0.675 0.171 0.065
2 Sm 0.675 0.171 0.435
3 Sm 0.640 0.462 0.750
4 Sm 0.825 0.671 0.065
5 Sm 0.140 0.038 0.250
6 Sm 0.825 0.671 0.435
7 Sm 0.325 0.829 0.565
8 Sm 0.860 0.962 0.750
9 Sm 0.175 0.329 0.565
10 Sm 0.175 0.329 0.935
11 Sm 0.360 0.538 0.250
12 Sm 0.325 0.829 0.935
13 Ir 0.444 0.119 0.750
14 Ir 0.944 0.381 0.250
15 Ir 0.056 0.619 0.750
16 Ir 0.556 0.881 0.250

Output
- formation enthalpy at 0 K (eV per atom) = -0.57
- volume (Å³ per atom) = 28.63


Computed, not measured: a relaxed structure of K3Sm4Cu5Te10 at the meta-GGA r2SCAN level of DFT.

a = 4.366 Å, b = 16.710 Å, c = 18.069 Å
α = 90.00°, β = 90.00°, γ = 90.00°
Fractional coordinates of all 44 atoms:
1 Te 0.000 0.084 0.511
2 Te 0.000 0.259 0.687
3 Te 0.500 0.583 0.991
4 Te 0.500 0.916 0.011
5 Te 0.500 0.487 0.285
6 Te 0.000 0.121 0.900
7 Te 0.500 0.166 0.104
8 Te 0.000 0.513 0.785
9 Te 0.000 0.667 0.396
10 Te 0.000 0.417 0.491
11 Te 0.000 0.834 0.604
12 Te 0.500 0.879 0.400
13 Te 0.500 0.743 0.819
14 Te 0.500 0.622 0.598
15 Te 0.000 0.976 0.214
16 Te 0.500 0.024 0.714
17 Te 0.000 0.257 0.319
18 Te 0.500 0.333 0.896
19 Te 0.500 0.741 0.187
20 Te 0.000 0.378 0.098
21 Cu 0.000 0.816 0.461
22 Cu 0.000 0.414 0.344
23 Cu 0.500 0.184 0.961
24 Cu 0.500 0.654 0.310
25 Cu 0.500 0.907 0.156
26 Cu 0.000 0.690 0.541
27 Cu 0.500 0.586 0.844
28 Cu 0.500 0.310 0.041
29 Cu 0.000 0.093 0.656
30 Cu 0.000 0.346 0.810
31 Sm 0.000 0.465 0.948
32 Sm 0.000 0.683 0.714
33 Sm 0.000 0.815 0.287
34 Sm 0.500 0.185 0.787
35 Sm 0.000 0.039 0.056
36 Sm 0.500 0.535 0.448
37 Sm 0.500 0.317 0.214
38 Sm 0.500 0.961 0.556
39 K 0.500 0.249 0.495
40 K 0.000 0.576 0.157
41 K 0.500 0.080 0.335
42 K 0.500 0.424 0.657
43 K 0.000 0.751 0.995
44 K 0.000 0.920 0.835

Output
- formation enthalpy at 0 K (eV per atom) = -1.11
- volume (Å³ per atom) = 29.96